Compound: Y2Mg
Source: Materials Project
Functional: GGA-PBE
Structure: optimized geometry

Summary:
final energy = -28.71 eV per cell
E_form = 5.7 kJ/mol of atoms
crystal system = hexagonal
size of the total moment = 0.95 Bohr magnetons per cell

a b c (Å): 3.550 3.550 16.712
angles (deg): 90.00 90.00 120.00
Element x y z (fractional)
Y 0.000 0.000 0.500
Y 0.667 0.333 0.329
Y 0.667 0.333 0.000
Y 0.667 0.333 0.671
Mg 0.000 0.000 0.165
Mg 0.000 0.000 0.835